Density functional theory data (r²SCAN) for a relaxed Ga4Bi2O9 crystal.

The structure in CIF format:
```
data_Ga4Bi2O9
_cell_length_a 7.947
_cell_length_b 8.330
_cell_length_c 5.919
_cell_angle_alpha 90.00
_cell_angle_beta 90.00
_cell_angle_gamma 90.00
_symmetry_space_group_name_H-M 'P b a m'
_symmetry_Int_Tables_number 55
_symmetry_space_group_name_Hall '-P 2 2ab'
loop_
_atom_site_label
_atom_site_type_symbol
_atom_site_fract_x
_atom_site_fract_y
_atom_site_fract_z
Ga1 Ga 0.000 0.000 0.242
Ga2 Ga 0.149 0.336 0.000
Bi1 Bi 0.173 0.670 0.500
O1 O 0.000 0.500 0.000
O2 O 0.129 0.207 0.258
O3 O 0.132 0.907 0.000
O4 O 0.149 0.933 0.500
```

Calculated values
Uncorrected energy: -16.28 eV/atom
Energy relative to the elements: -27.7 eV/f.u.
Spin magnetization: 0.00 μB/f.u.